# 1
Cs2CuH12S2O14 | GGA-PBE | optimized geometry Values from VASP.

Geometry as Quantum ESPRESSO input:
```
&SYSTEM
  ibrav = 0, nat = 62, ntyp = 5
/
ATOMIC_SPECIES
Cu 63.55 Cu.upf
O 16.00 O.upf
H 1.01 H.upf
S 32.06 S.upf
Cs 132.91 Cs.upf
CELL_PARAMETERS angstrom
12.8579 0.0000 0.0000
0.0000 6.3585 0.0000
0.0000 2.5459 9.1766
ATOMIC_POSITIONS crystal
Cu 0.0000 0.0000 0.0000
O 0.6114 0.1546 0.3585
O 0.8886 0.1546 0.8585
O 0.9138 0.5958 0.7489
O 0.1114 0.8454 0.1415
O 0.3870 0.9855 0.2995
O 0.9373 0.7142 0.0006
O 0.2438 0.3840 0.3962
H 0.9373 0.6765 0.9051
O 0.2562 0.3840 0.8962
S 0.3522 0.2636 0.8760
H 0.3136 0.0142 0.3199
H 0.3724 0.9223 0.7177
S 0.1478 0.2636 0.3760
H 0.8136 0.9858 0.1801
S 0.6478 0.7364 0.1240
O 0.7438 0.6160 0.1038
H 0.5627 0.6765 0.4051
Cs 0.6449 0.3525 0.8880
O 0.6130 0.0145 0.7005
O 0.4373 0.2858 0.4994
O 0.4138 0.4042 0.7511
H 0.3635 0.3022 0.4649
Cs 0.8551 0.3525 0.3880
O 0.5862 0.5958 0.2489
Cu 0.5000 0.0000 0.5000
H 0.6864 0.9858 0.6801
O 0.3886 0.8454 0.6415
S 0.8522 0.7364 0.6240
O 0.8227 0.9448 0.6597
H 0.4373 0.3235 0.5949
O 0.7562 0.6160 0.6038
H 0.0627 0.3235 0.0949
O 0.5627 0.7142 0.5006
H 0.6001 0.9232 0.8006
O 0.5827 0.7833 0.9905
H 0.1864 0.0142 0.8199
H 0.6365 0.6978 0.5351
H 0.1001 0.0768 0.6994
Cs 0.3551 0.6475 0.1120
Cs 0.1449 0.6475 0.6120
O 0.0862 0.4042 0.2511
H 0.1276 0.9223 0.2177
H 0.1365 0.3022 0.9649
O 0.6773 0.9448 0.1597
H 0.4040 0.6885 0.6895
H 0.8635 0.6978 0.0351
H 0.5960 0.3115 0.3105
H 0.8724 0.0777 0.7823
H 0.3999 0.0768 0.1994
O 0.8870 0.0145 0.2005
O 0.3227 0.0552 0.8403
H 0.6276 0.0777 0.2823
H 0.8999 0.9232 0.3006
O 0.0827 0.2167 0.5095
O 0.1130 0.9855 0.7995
H 0.0960 0.6885 0.1895
O 0.0627 0.2858 0.9994
O 0.1773 0.0552 0.3403
H 0.9040 0.3115 0.8105
O 0.4173 0.2167 0.0095
O 0.9173 0.7833 0.4905
```

Calculated values
Total magnetic moment (μB/f.u.): 1.00
Energy above the lowest structure with this stoichiometry (eV/f.u.): 0.00
Electronic total energy (eV/atom): -5.253

# 2
Cs2CuH12S2O14 | GGA-PBE | optimized geometry Values from VASP.

Geometry as Quantum ESPRESSO input:
```
&SYSTEM
  ibrav = 0, nat = 62, ntyp = 5
/
ATOMIC_SPECIES
H 1.01 H.upf
O 16.00 O.upf
S 32.06 S.upf
Cs 132.91 Cs.upf
Cu 63.55 Cu.upf
CELL_PARAMETERS angstrom
12.3675 0.0000 0.0000
0.0000 6.8201 0.0000
0.0000 3.4422 9.8571
ATOMIC_POSITIONS crystal
H 0.0718 0.0199 0.3134
O 0.3873 0.8423 0.6039
H 0.9282 0.9801 0.6866
O 0.0595 0.2818 0.0129
S 0.1731 0.3255 0.3777
S 0.6731 0.6745 0.1223
H 0.2155 0.0677 0.3162
S 0.8269 0.6745 0.6223
H 0.4069 0.6946 0.6372
H 0.0931 0.6946 0.1372
O 0.7614 0.8063 0.1668
H 0.5718 0.9801 0.1866
O 0.2619 0.4906 0.9021
Cs 0.1448 0.6815 0.6088
S 0.3269 0.3255 0.8777
H 0.1248 0.8914 0.2176
O 0.4040 0.4025 0.7617
H 0.6314 0.6774 0.5292
O 0.5960 0.5975 0.2383
H 0.4363 0.3102 0.5993
O 0.0960 0.4025 0.2617
H 0.9363 0.6898 0.9007
O 0.6333 0.0677 0.1892
H 0.7845 0.9323 0.6838
O 0.8873 0.1577 0.8961
H 0.1314 0.3226 0.9708
O 0.1166 0.1920 0.4989
O 0.5595 0.7183 0.4871
O 0.7381 0.5094 0.0979
O 0.6166 0.8080 0.0011
O 0.3667 0.9323 0.8108
Cs 0.6448 0.3185 0.8912
H 0.7155 0.9323 0.1838
O 0.8834 0.8080 0.5011
Cu 0.5000 0.0000 0.5000
H 0.4282 0.0199 0.8134
O 0.6127 0.1577 0.3961
O 0.7619 0.5094 0.5979
O 0.7386 0.8063 0.6668
H 0.6248 0.1086 0.2824
Cu 0.0000 0.0000 0.0000
Cs 0.8552 0.3185 0.3912
O 0.3834 0.1920 0.9989
H 0.2845 0.0677 0.8162
O 0.9405 0.7183 0.9871
H 0.8752 0.1086 0.7824
O 0.2614 0.1937 0.3332
O 0.8667 0.0677 0.6892
O 0.4405 0.2818 0.5129
H 0.3752 0.8914 0.7176
H 0.3686 0.3226 0.4708
H 0.9069 0.3054 0.8628
O 0.2386 0.1937 0.8332
H 0.0637 0.3102 0.0993
Cs 0.3552 0.6815 0.1088
H 0.5931 0.3054 0.3628
O 0.1333 0.9323 0.3108
O 0.9040 0.5975 0.7383
H 0.5637 0.6898 0.4007
O 0.1127 0.8423 0.1039
O 0.2381 0.4906 0.4021
H 0.8686 0.6774 0.0292
```

Calculated values
Total magnetic moment (μB/f.u.): 1.17
Energy above the lowest structure with this stoichiometry (eV/f.u.): 2.24
Electronic total energy (eV/atom): -5.181

# 3
Cs3Cu2I5 | GGA-PBE | optimized geometry Values from VASP.

Geometry as Quantum ESPRESSO input:
```
&SYSTEM
  ibrav = 0, nat = 40, ntyp = 3
/
ATOMIC_SPECIES
Cs 132.91 Cs.upf
Cu 63.55 Cu.upf
I 126.90 I.upf
CELL_PARAMETERS angstrom
10.4196 0.0000 0.0000
0.0000 11.8394 0.0000
0.0000 0.0000 14.5925
ATOMIC_POSITIONS crystal
Cs 0.5526 0.9873 0.8239
Cu 0.2868 0.7500 0.0442
Cu 0.2593 0.7500 0.8733
Cu 0.7868 0.7500 0.4558
I 0.2966 0.2500 0.7107
Cs 0.4474 0.4873 0.1761
Cu 0.7132 0.2500 0.9558
Cs 0.0526 0.5127 0.6761
I 0.1611 0.2500 0.2095
Cs 0.9474 0.4873 0.3239
I 0.1919 0.5626 0.9493
Cu 0.2407 0.2500 0.3733
Cs 0.9474 0.0127 0.3239
I 0.6919 0.5626 0.5507
Cs 0.9066 0.7500 0.0484
I 0.7966 0.2500 0.7893
I 0.1919 0.9374 0.9493
Cs 0.5934 0.2500 0.5484
I 0.6611 0.2500 0.2905
I 0.8389 0.7500 0.7905
I 0.7034 0.7500 0.2893
I 0.3389 0.7500 0.7095
Cs 0.4066 0.7500 0.4516
Cs 0.0526 0.9873 0.6761
I 0.6919 0.9374 0.5507
Cs 0.5526 0.5127 0.8239
Cu 0.2132 0.2500 0.5442
I 0.3081 0.0626 0.4493
I 0.0328 0.7500 0.4870
I 0.8081 0.4374 0.0507
I 0.8081 0.0626 0.0507
I 0.9672 0.2500 0.5130
Cu 0.7593 0.7500 0.6267
I 0.5328 0.7500 0.0130
I 0.4672 0.2500 0.9870
Cs 0.0934 0.2500 0.9516
I 0.2034 0.7500 0.2107
Cu 0.7407 0.2500 0.1267
I 0.3081 0.4374 0.4493
Cs 0.4474 0.0127 0.1761
```

Calculated values
Electronic total energy (eV/atom): -2.864

# 4
Cs2CuMoI6 | GGA-PBE | optimized geometry Values from VASP.

Geometry as Quantum ESPRESSO input:
```
&SYSTEM
  ibrav = 0, nat = 10, ntyp = 4
/
ATOMIC_SPECIES
I 126.90 I.upf
Cs 132.91 Cs.upf
Cu 63.55 Cu.upf
Mo 95.94 Mo.upf
CELL_PARAMETERS angstrom
0.0000 5.7725 5.7725
5.7725 0.0000 5.7725
5.7725 5.7725 0.0000
ATOMIC_POSITIONS crystal
I 0.7527 0.7527 0.2473
I 0.2473 0.7527 0.7527
I 0.7527 0.2473 0.7527
I 0.2473 0.7527 0.2473
Cs 0.7500 0.7500 0.7500
Cu 0.5000 0.5000 0.5000
Mo 0.0000 0.0000 0.0000
I 0.2473 0.2473 0.7527
I 0.7527 0.2473 0.2473
Cs 0.2500 0.2500 0.2500
```

Calculated values
Total magnetic moment (μB/f.u.): 3.00
Electronic total energy (eV/atom): -3.227

# 5
Cs2PrCuI6 | GGA-PBE | optimized geometry Values from VASP.

Geometry as Quantum ESPRESSO input:
```
&SYSTEM
  ibrav = 0, nat = 10, ntyp = 4
/
ATOMIC_SPECIES
Cs 132.91 Cs.upf
I 126.90 I.upf
Pr 140.91 Pr.upf
Cu 63.55 Cu.upf
CELL_PARAMETERS angstrom
-5.1434 1.2407 6.7077
-8.0970 -2.7121 -0.2665
-2.4424 -6.6355 4.7951
ATOMIC_POSITIONS crystal
Cs 0.7500 0.7500 0.7500
Cs 0.2500 0.2500 0.2500
I 0.2402 0.7598 0.2402
Pr 0.5000 0.5000 0.5000
Cu 0.0000 0.0000 0.0000
I 0.2402 0.2402 0.7598
I 0.2402 0.7598 0.7598
I 0.7598 0.2402 0.7598
I 0.7598 0.2402 0.2402
I 0.7598 0.7598 0.2402
```

Calculated values
Total magnetic moment (μB/f.u.): 0.00
Electronic total energy (eV/atom): -3.157

# 6
Cs2TaCuI6 | GGA-PBE | optimized geometry Values from VASP.

Geometry as Quantum ESPRESSO input:
```
&SYSTEM
  ibrav = 0, nat = 10, ntyp = 4
/
ATOMIC_SPECIES
I 126.90 I.upf
Cs 132.91 Cs.upf
Ta 180.95 Ta.upf
Cu 63.55 Cu.upf
CELL_PARAMETERS angstrom
0.0000 5.7878 5.7878
5.7878 0.0000 5.7878
5.7878 5.7878 0.0000
ATOMIC_POSITIONS crystal
I 0.7478 0.2522 0.7478
Cs 0.7500 0.7500 0.7500
I 0.7478 0.2522 0.2522
Cs 0.2500 0.2500 0.2500
I 0.7478 0.7478 0.2522
I 0.2522 0.7478 0.7478
I 0.2522 0.2522 0.7478
Ta 0.5000 0.5000 0.5000
I 0.2522 0.7478 0.2522
Cu 0.0000 0.0000 0.0000
```

Calculated values
Total magnetic moment (μB/f.u.): 1.93
Electronic total energy (eV/atom): -3.341

# 7
Cs2YCuI6 | GGA-PBE | optimized geometry Values from VASP.

Geometry as Quantum ESPRESSO input:
```
&SYSTEM
  ibrav = 0, nat = 10, ntyp = 4
/
ATOMIC_SPECIES
I 126.90 I.upf
Cs 132.91 Cs.upf
Y 88.91 Y.upf
Cu 63.55 Cu.upf
CELL_PARAMETERS angstrom
6.5999 -3.7536 -3.6337
2.0066 -7.9094 2.0656
-1.2188 -6.2313 -5.5260
ATOMIC_POSITIONS crystal
I 0.2444 0.7556 0.7556
I 0.7556 0.2444 0.7556
Cs 0.7500 0.7500 0.7500
Y 0.5000 0.5000 0.5000
I 0.2444 0.2444 0.7556
I 0.7556 0.2444 0.2444
I 0.2444 0.7556 0.2444
I 0.7556 0.7556 0.2444
Cu 0.0000 0.0000 0.0000
Cs 0.2500 0.2500 0.2500
```

Calculated values
Total magnetic moment (μB/f.u.): 0.00
Electronic total energy (eV/atom): -3.320

# 8
CsLa2CuSe4 | GGA-PBE | optimized geometry Values from VASP.

Geometry as Quantum ESPRESSO input:
```
&SYSTEM
  ibrav = 0, nat = 16, ntyp = 4
/
ATOMIC_SPECIES
Se 78.96 Se.upf
Cs 132.91 Cs.upf
La 138.91 La.upf
Cu 63.55 Cu.upf
CELL_PARAMETERS angstrom
-3.5242 1.1126 6.9756
3.0870 -5.0597 -5.2140
13.3199 1.4264 6.5021
ATOMIC_POSITIONS crystal
Se 0.2590 0.7410 0.8880
Cs 0.8946 0.1054 0.7500
La 0.3654 0.6346 0.4390
Cu 0.1654 0.8346 0.7500
Se 0.4205 0.5795 0.2500
Cs 0.1054 0.8946 0.2500
Se 0.7410 0.2590 0.1120
La 0.3654 0.6346 0.0610
La 0.6346 0.3654 0.9390
Se 0.0000 0.0000 0.5000
La 0.6346 0.3654 0.5610
Se 0.2590 0.7410 0.6120
Se 0.5795 0.4205 0.7500
Cu 0.8346 0.1654 0.2500
Se 0.7410 0.2590 0.3880
Se 0.0000 0.0000 0.0000
```

Calculated values
Total magnetic moment (μB/f.u.): 0.00
Electronic total energy (eV/atom): -5.191